# LiCuF3 PBE optimized geometry
# corrected total energy (MP2020 scheme): -4.630 eV per atom
# relative energy among the computed polymorphs: 61 meV/atom
# total energy: -4.353 eV/atom
# energy of formation from the pure elements: -2.2797 eV/atom
# V: 56.7 Å³/f.u.
data_LiCuF3
_chemical_formula_sum 'Li8 Cu8 F24'
_space_group_name_H-M_alt 'A m m 2'
_space_group_IT_number 38
_cell_length_a 8.761
_cell_length_b 6.995
_cell_length_c 7.400
_cell_angle_alpha 90.00
_cell_angle_beta 90.00
_cell_angle_gamma 90.00
loop_
_space_group_symop_operation_xyz
'x,y,z'
'-x,-y,z'
'-x,y,z'
'x,-y,z'
'x,y+1/2,z+1/2'
'-x,-y+1/2,z+1/2'
'-x,y+1/2,z+1/2'
'x,-y+1/2,z+1/2'
loop_
_atom_site_label
_atom_site_type_symbol
_atom_site_fract_x
_atom_site_fract_y
_atom_site_fract_z
_atom_site_occupancy
Li1 Li 0.000 0.000 0.000 1
Li2 Li 0.000 0.214 0.740 1
Li3 Li 0.500 0.000 0.463 1
Cu1 Cu 0.184 0.000 0.474 1
Cu2 Cu 0.332 0.000 0.990 1
F1 F 0.000 0.188 0.482 1
F2 F 0.150 0.000 0.803 1
F3 F 0.159 0.000 0.169 1
F4 F 0.331 0.196 0.483 1
F5 F 0.500 0.000 0.171 1
F6 F 0.500 0.000 0.823 1